Entry from Materials Project: a relaxed structure of CaMg149 (GGA-PBE).

Properties
**Crystal system**: hexagonal
**ΔE_f**: -0.03 eV per atom
**Density**: 1.75 g cm⁻³
**SG**: No. 187

Lattice parameters (Å, degrees): 15.9846 15.9846 15.6569 90.00 90.00 120.00
With the nearest neighbours (Å) after each atom.
Fractional coordinates of all 150 atoms:
Ca: 0.0000 0.0000 0.0000  12 Mg 3.28
Mg: 0.6001 0.2003 0.0000  12 Mg 3.19-3.20
Mg: 0.4009 0.2005 0.0000  12 Mg 3.19-3.21
Mg: 0.7995 0.2005 0.0000  12 Mg 3.19-3.21
Mg: 0.0025 0.2064 0.0000  11 Mg 3.13-3.34, 1 Ca 3.28
Mg: 0.2039 0.2064 0.0000  11 Mg 3.13-3.34, 1 Ca 3.28
Mg: 0.6001 0.3999 0.0000  12 Mg 3.19-3.20
Mg: 0.7997 0.3999 0.0000  12 Mg 3.19-3.20
Mg: 0.0002 0.4011 0.0000  12 Mg 3.13-3.21
Mg: 0.4008 0.4011 0.0000  12 Mg 3.13-3.21
Mg: 0.2016 0.4031 0.0000  12 Mg 3.16-3.21
Mg: 0.7995 0.5991 0.0000  12 Mg 3.19-3.21
Mg: 0.0002 0.5992 0.0000  12 Mg 3.13-3.21
Mg: 0.5989 0.5992 0.0000  12 Mg 3.13-3.21
Mg: 0.2006 0.6003 0.0000  12 Mg 3.16-3.21
Mg: 0.3997 0.6003 0.0000  12 Mg 3.16-3.21
Mg: 0.7936 0.7961 0.0000  11 Mg 3.13-3.34, 1 Ca 3.28
Mg: 0.0025 0.7961 0.0000  11 Mg 3.13-3.34, 1 Ca 3.28
Mg: 0.5969 0.7984 0.0000  12 Mg 3.16-3.21
Mg: 0.2016 0.7984 0.0000  12 Mg 3.16-3.21
Mg: 0.3997 0.7994 0.0000  12 Mg 3.16-3.21
Mg: 0.7936 0.9975 0.0000  11 Mg 3.13-3.34, 1 Ca 3.28
Mg: 0.2039 0.9975 0.0000  11 Mg 3.13-3.34, 1 Ca 3.28
Mg: 0.4008 0.9998 0.0000  12 Mg 3.13-3.21
Mg: 0.5989 0.9998 0.0000  12 Mg 3.13-3.21
Mg: 0.2643 0.1321 0.1652  12 Mg 3.17-3.23
Mg: 0.8679 0.1321 0.1652  12 Mg 3.17-3.23
Mg: 0.8679 0.7357 0.1652  12 Mg 3.17-3.23
Mg: 0.6667 0.3333 0.1663  12 Mg 3.19-3.21
Mg: 0.4659 0.1331 0.1666  12 Mg 3.19-3.22
Mg: 0.6672 0.1331 0.1666  12 Mg 3.19-3.22
Mg: 0.4659 0.3328 0.1666  12 Mg 3.19-3.22
Mg: 0.8669 0.3328 0.1666  12 Mg 3.19-3.22
Mg: 0.6672 0.5341 0.1666  12 Mg 3.19-3.22
Mg: 0.8669 0.5341 0.1666  12 Mg 3.19-3.22
Mg: 0.0667 0.5334 0.1674  12 Mg 3.17-3.21
Mg: 0.4666 0.5334 0.1674  12 Mg 3.17-3.21
Mg: 0.4666 0.9333 0.1674  12 Mg 3.17-3.21
Mg: 0.2670 0.5341 0.1674  12 Mg 3.18-3.20
Mg: 0.4659 0.7330 0.1674  12 Mg 3.18-3.20
Mg: 0.2670 0.7330 0.1674  12 Mg 3.18-3.20
Mg: 0.2677 0.3354 0.1677  12 Mg 3.17-3.22
Mg: 0.0677 0.3354 0.1677  12 Mg 3.17-3.22
Mg: 0.6646 0.7323 0.1677  12 Mg 3.17-3.22
Mg: 0.0677 0.7323 0.1677  12 Mg 3.17-3.22
Mg: 0.2677 0.9323 0.1677  12 Mg 3.17-3.22
Mg: 0.6646 0.9323 0.1677  12 Mg 3.17-3.22
Mg: 0.0684 0.1367 0.1708  11 Mg 3.15-3.28, 1 Ca 3.28
Mg: 0.8633 0.9316 0.1708  11 Mg 3.15-3.28, 1 Ca 3.28
Mg: 0.0684 0.9316 0.1708  11 Mg 3.15-3.28, 1 Ca 3.28
Mg: 0.4000 0.2000 0.3329  12 Mg 3.19-3.23
Mg: 0.8000 0.2000 0.3329  12 Mg 3.19-3.23
Mg: 0.8000 0.6000 0.3329  12 Mg 3.19-3.23
Mg: 0.6001 0.2001 0.3330  12 Mg 3.19-3.20
Mg: 0.7999 0.3999 0.3330  12 Mg 3.19-3.20
Mg: 0.6001 0.3999 0.3330  12 Mg 3.19-3.20
Mg: 0.4005 0.0002 0.3338  12 Mg 3.18-3.20
Mg: 0.5997 0.0002 0.3338  12 Mg 3.18-3.20
Mg: 0.4005 0.4003 0.3338  12 Mg 3.18-3.20
Mg: 0.9998 0.4003 0.3338  12 Mg 3.18-3.20
Mg: 0.9998 0.5995 0.3338  12 Mg 3.18-3.20
Mg: 0.5997 0.5995 0.3338  12 Mg 3.18-3.20
Mg: 0.1999 0.5999 0.3338  12 Mg 3.19-3.20
Mg: 0.4001 0.5999 0.3338  12 Mg 3.19-3.20
Mg: 0.4001 0.8001 0.3338  12 Mg 3.19-3.20
Mg: 0.2002 0.4004 0.3340  12 Mg 3.18-3.20
Mg: 0.5996 0.7998 0.3340  12 Mg 3.18-3.20
Mg: 0.2002 0.7998 0.3340  12 Mg 3.18-3.20
Mg: 0.7993 0.0002 0.3340  12 Mg 3.15-3.21
Mg: 0.2008 0.0002 0.3340  12 Mg 3.15-3.21
Mg: 0.9998 0.2007 0.3340  12 Mg 3.15-3.21
Mg: 0.2008 0.2007 0.3340  12 Mg 3.15-3.21
Mg: 0.9998 0.7992 0.3340  12 Mg 3.15-3.21
Mg: 0.7993 0.7992 0.3340  12 Mg 3.15-3.21
Mg: 0.0000 0.0000 0.3342  12 Mg 3.18-3.21
Mg: 0.0668 0.1336 0.5000  12 Mg 3.19-3.20
Mg: 0.8664 0.1336 0.5000  12 Mg 3.19-3.20
Mg: 0.2672 0.1336 0.5000  12 Mg 3.19-3.20
Mg: 0.4670 0.1340 0.5000  12 Mg 3.18-3.20
Mg: 0.6670 0.1340 0.5000  12 Mg 3.18-3.20
Mg: 0.4670 0.3330 0.5000  12 Mg 3.18-3.20
Mg: 0.8660 0.3330 0.5000  12 Mg 3.18-3.20
Mg: 0.6667 0.3333 0.5000  12 Mg 3.19-3.20
Mg: 0.2668 0.3337 0.5000  12 Mg 3.19-3.20
Mg: 0.0669 0.3337 0.5000  12 Mg 3.19-3.20
Mg: 0.8660 0.5330 0.5000  12 Mg 3.18-3.20
Mg: 0.6670 0.5330 0.5000  12 Mg 3.18-3.20
Mg: 0.0665 0.5333 0.5000  12 Mg 3.19-3.20
Mg: 0.4667 0.5333 0.5000  12 Mg 3.19-3.20
Mg: 0.2668 0.5336 0.5000  12 Mg 3.19-3.20
Mg: 0.8664 0.7328 0.5000  12 Mg 3.19-3.20
Mg: 0.6663 0.7332 0.5000  12 Mg 3.19-3.20
Mg: 0.0669 0.7332 0.5000  12 Mg 3.19-3.20
Mg: 0.4664 0.7332 0.5000  12 Mg 3.19-3.20
Mg: 0.2668 0.7332 0.5000  12 Mg 3.19-3.20
Mg: 0.2668 0.9331 0.5000  12 Mg 3.19-3.20
Mg: 0.6663 0.9331 0.5000  12 Mg 3.19-3.20
Mg: 0.8664 0.9332 0.5000  12 Mg 3.19-3.20
Mg: 0.0668 0.9332 0.5000  12 Mg 3.19-3.20
Mg: 0.4667 0.9335 0.5000  12 Mg 3.19-3.20
Mg: 0.0000 0.0000 0.6658  12 Mg 3.18-3.21
Mg: 0.7993 0.0002 0.6660  12 Mg 3.15-3.21
Mg: 0.2008 0.0002 0.6660  12 Mg 3.15-3.21
Mg: 0.9998 0.2007 0.6660  12 Mg 3.15-3.21
Mg: 0.2008 0.2007 0.6660  12 Mg 3.15-3.21
Mg: 0.9998 0.7992 0.6660  12 Mg 3.15-3.21
Mg: 0.7993 0.7992 0.6660  12 Mg 3.15-3.21
Mg: 0.2002 0.4004 0.6660  12 Mg 3.18-3.20
Mg: 0.5996 0.7998 0.6660  12 Mg 3.18-3.20
Mg: 0.2002 0.7998 0.6660  12 Mg 3.18-3.20
Mg: 0.1999 0.5999 0.6662  12 Mg 3.19-3.20
Mg: 0.4001 0.5999 0.6662  12 Mg 3.19-3.20
Mg: 0.4001 0.8001 0.6662  12 Mg 3.19-3.20
Mg: 0.4005 0.0002 0.6662  12 Mg 3.18-3.20
Mg: 0.5997 0.0002 0.6662  12 Mg 3.18-3.20
Mg: 0.4005 0.4003 0.6662  12 Mg 3.18-3.20
Mg: 0.9998 0.4003 0.6662  12 Mg 3.18-3.20
Mg: 0.9998 0.5995 0.6662  12 Mg 3.18-3.20
Mg: 0.5997 0.5995 0.6662  12 Mg 3.18-3.20
Mg: 0.6001 0.2001 0.6670  12 Mg 3.19-3.20
Mg: 0.7999 0.3999 0.6670  12 Mg 3.19-3.20
Mg: 0.6001 0.3999 0.6670  12 Mg 3.19-3.20
Mg: 0.4000 0.2000 0.6671  12 Mg 3.19-3.23
Mg: 0.8000 0.2000 0.6671  12 Mg 3.19-3.23
Mg: 0.8000 0.6000 0.6671  12 Mg 3.19-3.23
Mg: 0.0684 0.1367 0.8292  11 Mg 3.15-3.28, 1 Ca 3.28
Mg: 0.8633 0.9316 0.8292  11 Mg 3.15-3.28, 1 Ca 3.28
Mg: 0.0684 0.9316 0.8292  11 Mg 3.15-3.28, 1 Ca 3.28
Mg: 0.2677 0.3354 0.8323  12 Mg 3.17-3.22
Mg: 0.0677 0.3354 0.8323  12 Mg 3.17-3.22
Mg: 0.6646 0.7323 0.8323  12 Mg 3.17-3.22
Mg: 0.0677 0.7323 0.8323  12 Mg 3.17-3.22
Mg: 0.2677 0.9323 0.8323  12 Mg 3.17-3.22
Mg: 0.6646 0.9323 0.8323  12 Mg 3.17-3.22
Mg: 0.2670 0.5341 0.8326  12 Mg 3.18-3.20
Mg: 0.4659 0.7330 0.8326  12 Mg 3.18-3.20
Mg: 0.2670 0.7330 0.8326  12 Mg 3.18-3.20
Mg: 0.0667 0.5334 0.8326  12 Mg 3.17-3.21
Mg: 0.4666 0.5334 0.8326  12 Mg 3.17-3.21
Mg: 0.4666 0.9333 0.8326  12 Mg 3.17-3.21
Mg: 0.4659 0.1331 0.8334  12 Mg 3.19-3.22
Mg: 0.6672 0.1331 0.8334  12 Mg 3.19-3.22
Mg: 0.4659 0.3328 0.8334  12 Mg 3.19-3.22
Mg: 0.8669 0.3328 0.8334  12 Mg 3.19-3.22
Mg: 0.6672 0.5341 0.8334  12 Mg 3.19-3.22
Mg: 0.8669 0.5341 0.8334  12 Mg 3.19-3.22
Mg: 0.6667 0.3333 0.8337  12 Mg 3.19-3.21
Mg: 0.2643 0.1321 0.8348  12 Mg 3.17-3.23
Mg: 0.8679 0.1321 0.8348  12 Mg 3.17-3.23
Mg: 0.8679 0.7357 0.8348  12 Mg 3.17-3.23

=====

Entry from Materials Project: a relaxed structure of La3C3Cl2 (GGA-PBE).

Properties
**Crystal system**: monoclinic
**ΔE_f**: -1.22 eV per atom
**Density**: 5.09 g cm⁻³
**SG**: No. 14

Lattice parameters (Å, degrees): 12.9062 6.9913 7.8298 75.32 90.00 90.00
With the nearest neighbours (Å) after each atom.
Fractional coordinates of all 32 atoms:
La: 0.1502 0.1369 0.2643  3 C 2.45-2.71
La: 0.6502 0.3631 0.7357  3 C 2.45-2.71
La: 0.1788 0.8683 0.8810  6 C 2.65-2.86, 1 Cl 2.94
La: 0.9923 0.6243 0.1904  3 C 2.44-2.72
La: 0.5077 0.1243 0.1904  3 C 2.44-2.72
La: 0.3212 0.3683 0.8810  6 C 2.65-2.86, 1 Cl 2.94
La: 0.8212 0.1317 0.1190  6 C 2.65-2.86, 1 Cl 2.94
La: 0.3498 0.6369 0.2643  3 C 2.45-2.71
La: 0.6788 0.6317 0.1190  6 C 2.65-2.86, 1 Cl 2.94
La: 0.4923 0.8757 0.8096  3 C 2.44-2.72
La: 0.8498 0.8631 0.7357  3 C 2.45-2.71
La: 0.0077 0.3757 0.8096  3 C 2.44-2.72
C: 0.2958 0.0235 0.1139  1 C 1.36
C: 0.6320 0.0251 0.9948  1 C 1.36
C: 0.7958 0.4765 0.8861  1 C 1.36
C: 0.8680 0.5251 0.9948  1 C 1.36
C: 0.4700 0.5288 0.0587  1 C 1.34
C: 0.7042 0.9765 0.8861  1 C 1.36
C: 0.1320 0.4749 0.0052  1 C 1.36
C: 0.2042 0.5235 0.1139  1 C 1.36
C: 0.5300 0.4712 0.9413  1 C 1.34
C: 0.0300 0.0288 0.0587  1 C 1.34
C: 0.9700 0.9712 0.9413  1 C 1.34
C: 0.3680 0.9749 0.0052  1 C 1.36
Cl: 0.3138 0.7682 0.6143  4 La 2.94-3.14
Cl: 0.5570 0.7377 0.4499  5 La 3.01-3.31, 1 Cl 3.35
Cl: 0.4430 0.2623 0.5501  5 La 3.01-3.31, 1 Cl 3.35
Cl: 0.1862 0.2682 0.6143  4 La 2.94-3.14
Cl: 0.9430 0.2377 0.4499  5 La 3.01-3.31, 1 Cl 3.35
Cl: 0.8138 0.7318 0.3857  4 La 2.94-3.14
Cl: 0.0570 0.7623 0.5501  5 La 3.01-3.31, 1 Cl 3.35
Cl: 0.6862 0.2318 0.3857  4 La 2.94-3.14

=====

Entry from Materials Project: a relaxed structure of TiH24C6I3N12O6 (GGA-PBE).

Properties
**Crystal system**: trigonal
**ΔE_f**: -0.66 eV per atom
**Density**: 1.95 g cm⁻³
**SG**: No. 167

Lattice parameters (Å, degrees): 11.4674 11.4674 11.4674 104.12 104.12 104.12
With the nearest neighbours (Å) after each atom.
Fractional coordinates of all 104 atoms:
Ti: 0.2500 0.2500 0.2500  6 O 2.04
Ti: 0.7500 0.7500 0.7500  6 O 2.04
H: 0.1345 0.6102 0.5101  1 N 1.02
H: 0.5101 0.1345 0.6102  1 N 1.02
H: 0.6102 0.5101 0.1345  1 N 1.02
H: 0.0101 0.1102 0.6345  1 N 1.02
H: 0.6345 0.0101 0.1102  1 N 1.02
H: 0.1102 0.6345 0.0101  1 N 1.02
H: 0.8655 0.3898 0.4899  1 N 1.02
H: 0.4899 0.8655 0.3898  1 N 1.02
H: 0.3898 0.4899 0.8655  1 N 1.02
H: 0.9899 0.8898 0.3655  1 N 1.02
H: 0.3655 0.9899 0.8898  1 N 1.02
H: 0.8898 0.3655 0.9899  1 N 1.02
H: 0.1334 0.4718 0.5502  1 N 1.02
H: 0.5502 0.1334 0.4718  1 N 1.02
H: 0.4718 0.5502 0.1334  1 N 1.02
H: 0.0502 0.9718 0.6334  1 N 1.02
H: 0.6334 0.0502 0.9718  1 N 1.02
H: 0.9718 0.6334 0.0502  1 N 1.02
H: 0.8666 0.5282 0.4498  1 N 1.02
H: 0.4498 0.8666 0.5282  1 N 1.02
H: 0.5282 0.4498 0.8666  1 N 1.02
H: 0.9498 0.0282 0.3666  1 N 1.02
H: 0.3666 0.9498 0.0282  1 N 1.02
H: 0.0282 0.3666 0.9498  1 N 1.02
H: 0.2115 0.6403 0.3406  1 N 1.01
H: 0.3406 0.2115 0.6403  1 N 1.01
H: 0.6403 0.3406 0.2115  1 N 1.01
H: 0.8406 0.1403 0.7115  1 N 1.01
H: 0.7115 0.8406 0.1403  1 N 1.01
H: 0.1403 0.7115 0.8406  1 N 1.01
H: 0.7885 0.3597 0.6594  1 N 1.01
H: 0.6594 0.7885 0.3597  1 N 1.01
H: 0.3597 0.6594 0.7885  1 N 1.01
H: 0.1594 0.8597 0.2885  1 N 1.01
H: 0.2885 0.1594 0.8597  1 N 1.01
H: 0.8597 0.2885 0.1594  1 N 1.01
H: 0.2729 0.5289 0.2671  1 N 1.02
H: 0.2671 0.2729 0.5289  1 N 1.02
H: 0.5289 0.2671 0.2729  1 N 1.02
H: 0.7671 0.0289 0.7729  1 N 1.02
H: 0.7729 0.7671 0.0289  1 N 1.02
H: 0.0289 0.7729 0.7671  1 N 1.02
H: 0.7271 0.4711 0.7329  1 N 1.02
H: 0.7329 0.7271 0.4711  1 N 1.02
H: 0.4711 0.7329 0.7271  1 N 1.02
H: 0.2329 0.9711 0.2271  1 N 1.02
H: 0.2271 0.2329 0.9711  1 N 1.02
H: 0.9711 0.2271 0.2329  1 N 1.02
C: 0.2026 0.4862 0.4047  1 O 1.28, 2 N 1.34
C: 0.4047 0.2026 0.4862  1 O 1.28, 2 N 1.34
C: 0.4862 0.4047 0.2026  1 O 1.28, 2 N 1.34
C: 0.9047 0.9862 0.7026  1 O 1.28, 2 N 1.34
C: 0.7026 0.9047 0.9862  1 O 1.28, 2 N 1.34
C: 0.9862 0.7026 0.9047  1 O 1.28, 2 N 1.34
C: 0.7974 0.5138 0.5953  1 O 1.28, 2 N 1.34
C: 0.5953 0.7974 0.5138  1 O 1.28, 2 N 1.34
C: 0.5138 0.5953 0.7974  1 O 1.28, 2 N 1.34
C: 0.0953 0.0138 0.2974  1 O 1.28, 2 N 1.34
C: 0.2974 0.0953 0.0138  1 O 1.28, 2 N 1.34
C: 0.0138 0.2974 0.0953  1 O 1.28, 2 N 1.34
I: 0.8807 0.6193 0.2500  4 H 2.76-2.87
I: 0.2500 0.8807 0.6193  4 H 2.76-2.87
I: 0.6193 0.2500 0.8807  4 H 2.76-2.87
I: 0.7500 0.1193 0.3807  4 H 2.76-2.87
I: 0.3807 0.7500 0.1193  4 H 2.76-2.87
I: 0.1193 0.3807 0.7500  4 H 2.76-2.87
N: 0.1454 0.5224 0.4896  2 H 1.02
N: 0.4896 0.1454 0.5224  2 H 1.02
N: 0.5224 0.4896 0.1454  2 H 1.02
N: 0.9896 0.0224 0.6454  2 H 1.02
N: 0.6454 0.9896 0.0224  2 H 1.02
N: 0.0224 0.6454 0.9896  2 H 1.02
N: 0.8546 0.4776 0.5104  2 H 1.02
N: 0.5104 0.8546 0.4776  2 H 1.02
N: 0.4776 0.5104 0.8546  2 H 1.02
N: 0.0104 0.9776 0.3546  2 H 1.02
N: 0.3546 0.0104 0.9776  2 H 1.02
N: 0.9776 0.3546 0.0104  2 H 1.02
N: 0.2341 0.5595 0.3347  2 H 1.01-1.02
N: 0.3347 0.2341 0.5595  2 H 1.01-1.02
N: 0.5595 0.3347 0.2341  2 H 1.01-1.02
N: 0.8347 0.0595 0.7341  2 H 1.01-1.02
N: 0.7341 0.8347 0.0595  2 H 1.01-1.02
N: 0.0595 0.7341 0.8347  2 H 1.01-1.02
N: 0.7659 0.4405 0.6653  2 H 1.01-1.02
N: 0.6653 0.7659 0.4405  2 H 1.01-1.02
N: 0.4405 0.6653 0.7659  2 H 1.01-1.02
N: 0.1653 0.9405 0.2659  2 H 1.01-1.02
N: 0.2659 0.1653 0.9405  2 H 1.01-1.02
N: 0.9405 0.2659 0.1653  2 H 1.01-1.02
O: 0.2257 0.3805 0.3906  1 C 1.28
O: 0.3906 0.2257 0.3805  1 C 1.28
O: 0.3805 0.3906 0.2257  1 C 1.28
O: 0.8906 0.8805 0.7257  1 C 1.28
O: 0.7257 0.8906 0.8805  1 C 1.28
O: 0.8805 0.7257 0.8906  1 C 1.28
O: 0.7743 0.6195 0.6094  1 C 1.28
O: 0.6094 0.7743 0.6195  1 C 1.28
O: 0.6195 0.6094 0.7743  1 C 1.28
O: 0.1094 0.1195 0.2743  1 C 1.28
O: 0.2743 0.1094 0.1195  1 C 1.28
O: 0.1195 0.2743 0.1094  1 C 1.28

=====

Entry from Materials Project: a relaxed structure of Li6RuN4 (GGA-PBE).

Properties
**Crystal system**: tetragonal
**ΔE_f**: -0.50 eV per atom
**Density**: 3.01 g cm⁻³
**SG**: No. 137

Lattice parameters (Å, degrees): 6.6739 6.6739 4.9297 90.00 90.00 90.00
With the nearest neighbours (Å) after each atom.
Fractional coordinates of all 22 atoms:
Li: 0.0000 0.5000 0.5972  4 N 1.99-2.21
Li: 0.5000 0.0000 0.9028  4 N 1.99-2.21
Li: 0.5000 0.0000 0.4028  4 N 1.99-2.21
Li: 0.0000 0.5000 0.0972  4 N 1.99-2.21
Li: 0.2139 0.2139 0.5000  4 N 2.10-2.15
Li: 0.7861 0.7861 0.5000  4 N 2.10-2.15
Li: 0.7139 0.7139 0.0000  4 N 2.10-2.15
Li: 0.2861 0.2861 0.0000  4 N 2.10-2.15
Li: 0.7861 0.2139 0.5000  4 N 2.10-2.15
Li: 0.2139 0.7861 0.5000  4 N 2.10-2.15
Li: 0.2861 0.7139 0.0000  4 N 2.10-2.15
Li: 0.7139 0.2861 0.0000  4 N 2.10-2.15
Ru: 0.5000 0.5000 0.5000  4 N 1.89
Ru: 0.0000 0.0000 0.0000  4 N 1.89
N: 0.2545 0.5000 0.3088  1 Ru 1.89, 3 Li 1.99-2.10
N: 0.7455 0.5000 0.3088  1 Ru 1.89, 3 Li 1.99-2.10
N: 0.7545 0.0000 0.1912  1 Ru 1.89, 3 Li 1.99-2.10
N: 0.2455 0.0000 0.1912  1 Ru 1.89, 3 Li 1.99-2.10
N: 0.5000 0.2545 0.6912  1 Ru 1.89, 3 Li 1.99-2.10
N: 0.5000 0.7455 0.6912  1 Ru 1.89, 3 Li 1.99-2.10
N: 0.0000 0.7545 0.8088  1 Ru 1.89, 3 Li 1.99-2.10
N: 0.0000 0.2455 0.8088  1 Ru 1.89, 3 Li 1.99-2.10

=====

Entry from Materials Project: a relaxed structure of Li2ZrN2 (GGA-PBE).

Properties
**Crystal system**: trigonal
**ΔE_f**: -1.25 eV per atom
**Density**: 4.27 g cm⁻³
**SG**: No. 164

Lattice parameters (Å, degrees): 3.2973 3.2973 5.4943 90.00 90.00 120.00
With the nearest neighbours (Å) after each atom.
Fractional coordinates of all 5 atoms:
Li: 0.6667 0.3333 0.6189  4 N 2.09-2.17, 3 Li 2.31
Li: 0.3333 0.6667 0.3811  4 N 2.09-2.17, 3 Li 2.31
Zr: 0.0000 0.0000 0.0000  6 N 2.27
N: 0.6667 0.3333 0.2241  4 Li 2.09-2.17, 3 Zr 2.27
N: 0.3333 0.6667 0.7759  4 Li 2.09-2.17, 3 Zr 2.27

=====

Entry from Materials Project: a relaxed structure of LiTb3 (GGA-PBE).

Properties
**Crystal system**: hexagonal
**ΔE_f**: 0.19 eV per atom
**Density**: 6.77 g cm⁻³
**SG**: No. 194

Lattice parameters (Å, degrees): 7.0253 7.0253 5.5480 90.00 90.00 120.00
With the nearest neighbours (Å) after each atom.
Fractional coordinates of all 8 atoms:
Li: 0.6667 0.3333 0.2500  12 Tb 3.42-3.51
Li: 0.3333 0.6667 0.7500  12 Tb 3.42-3.51
Tb: 0.8310 0.1690 0.7500  4 Li 3.42-3.51, 8 Tb 3.45-3.56
Tb: 0.3380 0.1690 0.7500  4 Li 3.42-3.51, 8 Tb 3.45-3.56
Tb: 0.8310 0.6620 0.7500  4 Li 3.42-3.51, 8 Tb 3.45-3.56
Tb: 0.1690 0.8310 0.2500  4 Li 3.42-3.51, 8 Tb 3.45-3.56
Tb: 0.6620 0.8310 0.2500  4 Li 3.42-3.51, 8 Tb 3.45-3.56
Tb: 0.1690 0.3380 0.2500  4 Li 3.42-3.51, 8 Tb 3.45-3.56